No. 1
Computed, not measured: a geometry-optimized Li5V2OF11 structure at the PBE with a Hubbard U level of DFT.

Results
Symmetry ... P1
Total DFT energy (no corrections) ... -5.40 eV per atom
Size of the total moment ... 0.1053 μB per atom

a b c (Å): 5.588 8.910 9.143
angles (deg): 79.92 84.50 73.05
Fractional coordinates of all 38 atoms:
F: 0.275 0.785 0.974
Li: 0.132 0.062 0.436
F: 0.724 0.527 0.007
F: 0.753 0.850 0.041
Li: 0.683 0.191 0.234
Li: 0.164 0.191 0.781
O: 0.005 0.625 0.238
F: 0.528 0.309 0.741
F: 0.725 0.233 0.003
F: 0.216 0.528 0.505
V: 0.100 0.429 0.364
F: 0.499 0.723 0.261
F: 0.993 0.946 0.230
Li: 0.291 0.961 0.098
F: 0.300 0.478 0.981
F: 0.010 0.722 0.776
Li: 0.673 0.057 0.897
F: 0.757 0.770 0.464
Li: 0.578 0.284 0.528
F: 0.488 0.945 0.735
F: 0.499 0.010 0.257
Li: 0.464 0.657 0.482
V: 0.276 0.822 0.758
V: 0.607 0.431 0.867
F: 0.237 0.237 0.508
Li: 0.912 0.612 0.635
F: 0.037 0.302 0.248
O: 0.510 0.626 0.742
Li: 0.417 0.594 0.131
F: 0.436 0.398 0.276
V: 0.775 0.817 0.254
F: 0.005 0.020 0.773
F: 0.329 0.114 0.951
F: 0.780 0.465 0.471
F: 0.933 0.400 0.768
Li: 0.974 0.640 0.986
F: 0.791 0.138 0.432
F: 0.246 0.852 0.546

No. 2
Computed, not measured: a geometry-optimized Li5VO4F structure at the PBE with a Hubbard U level of DFT.

Results
Symmetry ... P2_1
Total DFT energy (no corrections) ... -5.67 eV per atom
Size of the total moment ... 0.0909 μB per atom

a b c (Å): 8.920 5.243 5.378
angles (deg): 65.73 90.00 90.00
Fractional coordinates of all 22 atoms:
O: 0.743 0.055 0.166
Li: 0.540 0.799 0.424
Li: 0.252 0.815 0.539
O: 0.096 0.441 0.801
O: 0.596 0.559 0.199
Li: 0.067 0.708 0.981
Li: 0.567 0.292 0.019
Li: 0.454 0.293 0.472
O: 0.885 0.899 0.761
Li: 0.040 0.201 0.576
Li: 0.752 0.185 0.461
Li: 0.941 0.246 0.084
O: 0.243 0.945 0.834
O: 0.411 0.496 0.710
V: 0.269 0.235 0.934
F: 0.082 0.002 0.319
Li: 0.441 0.754 0.916
O: 0.385 0.101 0.239
Li: 0.954 0.707 0.528
O: 0.911 0.504 0.290
V: 0.769 0.765 0.066
F: 0.582 0.998 0.681

No. 3
Computed, not measured: a geometry-optimized Li2VO2F structure at the PBE with a Hubbard U level of DFT.

Results
Symmetry ... P-3m1
Total DFT energy (no corrections) ... -6.24 eV per atom
Size of the total moment ... 0.3337 μB per atom

a b c (Å): 2.976 2.976 14.518
angles (deg): 90.00 90.00 120.00
Fractional coordinates of all 12 atoms:
Li: 0.000 0.000 0.500
O: 0.000 0.000 0.246
F: 0.667 0.333 0.581
V: 0.667 0.333 0.831
Li: 0.333 0.667 0.661
F: 0.333 0.667 0.419
O: 0.333 0.667 0.909
O: 0.667 0.333 0.091
V: 0.333 0.667 0.169
Li: 0.667 0.333 0.339
O: 0.000 0.000 0.754
Li: 0.000 0.000 0.000

No. 4
Computed, not measured: a geometry-optimized LiV2OF7 structure at the PBE with a Hubbard U level of DFT.

Results
Total DFT energy (no corrections) ... -5.77 eV per atom
Size of the total moment ... 0.1819 μB per atom

a b c (Å): 5.856 8.716 5.872
angles (deg): 91.29 95.88 88.89
Fractional coordinates of all 22 atoms:
O: 0.218 0.973 0.272
Li: 0.265 0.119 0.026
F: 0.519 0.240 0.522
F: 0.978 0.230 0.516
F: 0.019 0.771 0.478
V: 0.749 0.259 0.742
V: 0.249 0.760 0.242
F: 0.019 0.740 0.022
F: 0.260 0.499 0.781
Li: 0.765 0.619 0.527
O: 0.718 0.473 0.771
F: 0.222 0.006 0.737
F: 0.478 0.730 0.016
F: 0.485 0.742 0.474
F: 0.722 0.506 0.237
F: 0.761 0.999 0.280
F: 0.985 0.242 0.973
F: 0.780 0.028 0.723
V: 0.505 0.503 0.986
V: 0.005 0.003 0.486
F: 0.519 0.271 0.978
F: 0.280 0.528 0.223

Question: Among the records above, which one has the lowest size of the total moment?
Answer: Li5VO4F

Question: Number 2 is which compound?
Answer: Li5VO4F

Please write out number 4 again, unchanged.
Computed, not measured: a geometry-optimized LiV2OF7 structure at the PBE with a Hubbard U level of DFT.

Results
Total DFT energy (no corrections) ... -5.77 eV per atom
Size of the total moment ... 0.1819 μB per atom

a b c (Å): 5.856 8.716 5.872
angles (deg): 91.29 95.88 88.89
Fractional coordinates of all 22 atoms:
O: 0.218 0.973 0.272
Li: 0.265 0.119 0.026
F: 0.519 0.240 0.522
F: 0.978 0.230 0.516
F: 0.019 0.771 0.478
V: 0.749 0.259 0.742
V: 0.249 0.760 0.242
F: 0.019 0.740 0.022
F: 0.260 0.499 0.781
Li: 0.765 0.619 0.527
O: 0.718 0.473 0.771
F: 0.222 0.006 0.737
F: 0.478 0.730 0.016
F: 0.485 0.742 0.474
F: 0.722 0.506 0.237
F: 0.761 0.999 0.280
F: 0.985 0.242 0.973
F: 0.780 0.028 0.723
V: 0.505 0.503 0.986
V: 0.005 0.003 0.486
F: 0.519 0.271 0.978
F: 0.280 0.528 0.223